1.
This record from the Materials Project describes an optimized crystal structure of Si2TeH22PdC8Cl2. The functional is GGA-PBE.

POSCAR file:
```
Si2TeH22PdC8Cl2
1.0
-1.753 12.422 3.790
-11.830 -3.331 5.349
7.926 -4.596 21.385
Si Te H Pd C Cl
16 8 176 8 64 16
Direct
0.243 0.355 0.346
0.757 0.645 0.654
0.185 0.419 0.629
0.815 0.581 0.371
0.302 0.913 0.631
0.698 0.087 0.369
0.079 0.829 0.852
0.921 0.171 0.148
0.583 0.725 0.876
0.417 0.275 0.124
0.249 0.888 0.346
0.751 0.112 0.654
0.116 0.709 0.139
0.884 0.291 0.861
0.632 0.704 0.164
0.368 0.296 0.836
0.266 0.846 0.494
0.734 0.154 0.506
0.237 0.340 0.496
0.763 0.660 0.504
0.653 0.737 0.016
0.347 0.263 0.984
0.154 0.762 0.992
0.846 0.238 0.008
0.326 0.018 0.534
0.674 0.982 0.466
0.422 0.923 0.544
0.578 0.077 0.456
0.392 0.927 0.410
0.608 0.073 0.590
0.287 0.011 0.417
0.713 0.989 0.583
0.076 0.422 0.542
0.924 0.578 0.458
0.174 0.516 0.530
0.826 0.484 0.470
0.235 0.494 0.411
0.765 0.506 0.589
0.117 0.426 0.415
0.883 0.574 0.585
0.557 0.602 0.092
0.443 0.398 0.908
0.492 0.720 0.091
0.508 0.280 0.909
0.475 0.696 0.969
0.525 0.304 0.031
0.565 0.597 0.964
0.435 0.403 0.036
0.993 0.782 0.064
0.007 0.218 0.936
0.092 0.869 0.075
0.908 0.131 0.925
0.054 0.918 0.941
0.946 0.082 0.059
0.972 0.810 0.945
0.028 0.190 0.055
0.388 0.956 0.276
0.612 0.044 0.724
0.270 0.949 0.241
0.730 0.051 0.759
0.292 0.047 0.284
0.708 0.953 0.716
0.362 0.738 0.340
0.638 0.262 0.660
0.248 0.703 0.380
0.752 0.297 0.620
0.245 0.726 0.304
0.755 0.274 0.696
0.089 0.986 0.351
0.911 0.014 0.649
0.071 0.882 0.312
0.929 0.118 0.688
0.072 0.865 0.389
0.928 0.135 0.611
0.242 0.735 0.632
0.758 0.265 0.368
0.375 0.740 0.646
0.625 0.260 0.354
0.282 0.760 0.701
0.718 0.240 0.299
0.171 0.049 0.630
0.829 0.951 0.370
0.113 0.932 0.622
0.887 0.068 0.378
0.152 0.957 0.691
0.848 0.043 0.309
0.406 0.057 0.658
0.594 0.943 0.342
0.382 0.964 0.718
0.618 0.036 0.282
0.477 0.943 0.665
0.523 0.057 0.335
0.318 0.554 0.625
0.682 0.446 0.375
0.330 0.465 0.688
0.670 0.535 0.312
0.374 0.435 0.619
0.626 0.565 0.381
0.006 0.454 0.662
0.994 0.546 0.338
0.096 0.480 0.715
0.904 0.520 0.285
0.081 0.567 0.652
0.919 0.433 0.348
0.107 0.247 0.652
0.893 0.753 0.348
0.239 0.240 0.633
0.761 0.760 0.367
0.201 0.270 0.702
0.799 0.730 0.298
0.176 0.493 0.276
0.824 0.507 0.724
0.307 0.515 0.290
0.693 0.485 0.710
0.272 0.425 0.243
0.728 0.575 0.757
0.070 0.293 0.324
0.930 0.707 0.676
0.169 0.224 0.292
0.831 0.776 0.708
0.136 0.198 0.368
0.864 0.802 0.632
0.372 0.235 0.392
0.628 0.765 0.608
0.398 0.265 0.317
0.602 0.735 0.683
0.429 0.352 0.366
0.571 0.648 0.634
0.720 0.537 0.177
0.280 0.463 0.823
0.799 0.630 0.137
0.201 0.370 0.863
0.783 0.628 0.213
0.217 0.372 0.787
0.510 0.595 0.230
0.490 0.405 0.770
0.567 0.688 0.267
0.433 0.312 0.733
0.467 0.722 0.219
0.533 0.278 0.781
0.729 0.859 0.125
0.271 0.141 0.875
0.614 0.890 0.161
0.386 0.110 0.839
0.720 0.845 0.202
0.280 0.155 0.798
0.741 0.745 0.814
0.259 0.255 0.186
0.769 0.764 0.886
0.231 0.236 0.114
0.752 0.640 0.868
0.248 0.360 0.132
0.525 0.663 0.786
0.475 0.337 0.214
0.542 0.562 0.840
0.458 0.438 0.160
0.431 0.637 0.842
0.569 0.363 0.158
0.556 0.886 0.814
0.444 0.114 0.186
0.455 0.864 0.867
0.545 0.136 0.133
0.575 0.908 0.887
0.425 0.092 0.113
0.968 0.755 0.202
0.032 0.245 0.798
0.073 0.708 0.243
0.927 0.292 0.757
0.075 0.835 0.210
0.925 0.165 0.790
0.102 0.535 0.107
0.898 0.465 0.893
0.090 0.533 0.184
0.910 0.467 0.816
0.987 0.574 0.139
0.013 0.426 0.861
0.301 0.691 0.110
0.699 0.309 0.890
0.279 0.801 0.144
0.721 0.199 0.856
0.283 0.682 0.186
0.717 0.318 0.814
0.006 0.998 0.818
0.994 0.002 0.182
0.004 0.916 0.763
0.996 0.084 0.237
0.911 0.902 0.821
0.089 0.098 0.179
0.234 0.941 0.843
0.766 0.059 0.157
0.269 0.812 0.858
0.731 0.188 0.142
0.234 0.860 0.788
0.766 0.140 0.212
0.973 0.677 0.844
0.027 0.323 0.156
0.070 0.693 0.788
0.930 0.307 0.212
0.101 0.643 0.860
0.899 0.357 0.140
0.079 0.893 0.506
0.921 0.107 0.494
0.421 0.391 0.507
0.579 0.609 0.493
0.609 0.922 0.003
0.391 0.078 0.997
0.108 0.579 0.989
0.892 0.421 0.011
0.340 0.939 0.551
0.660 0.061 0.449
0.308 0.933 0.412
0.692 0.067 0.588
0.157 0.439 0.549
0.843 0.561 0.451
0.201 0.419 0.412
0.799 0.581 0.588
0.566 0.683 0.095
0.434 0.317 0.905
0.554 0.679 0.956
0.446 0.321 0.044
0.074 0.790 0.072
0.926 0.210 0.928
0.049 0.839 0.932
0.951 0.161 0.068
0.306 0.967 0.281
0.694 0.033 0.719
0.279 0.751 0.342
0.721 0.249 0.658
0.107 0.907 0.350
0.893 0.093 0.650
0.300 0.774 0.654
0.700 0.226 0.346
0.173 0.968 0.645
0.827 0.032 0.355
0.401 0.975 0.672
0.599 0.025 0.328
0.314 0.473 0.641
0.686 0.527 0.359
0.082 0.487 0.668
0.918 0.513 0.332
0.182 0.281 0.656
0.818 0.719 0.344
0.250 0.457 0.283
0.750 0.543 0.717
0.146 0.258 0.332
0.854 0.742 0.668
0.372 0.296 0.356
0.628 0.704 0.644
0.744 0.617 0.174
0.256 0.383 0.826
0.535 0.674 0.226
0.465 0.326 0.774
0.678 0.837 0.163
0.322 0.163 0.837
0.724 0.718 0.860
0.276 0.282 0.140
0.514 0.639 0.832
0.486 0.361 0.168
0.538 0.858 0.859
0.462 0.142 0.141
0.052 0.758 0.204
0.948 0.242 0.796
0.071 0.575 0.142
0.929 0.425 0.858
0.258 0.721 0.145
0.742 0.279 0.855
0.992 0.920 0.810
0.008 0.080 0.190
0.216 0.864 0.834
0.784 0.136 0.166
0.053 0.698 0.835
0.947 0.302 0.165
0.103 0.067 0.484
0.897 0.933 0.516
0.053 0.721 0.527
0.947 0.279 0.473
0.401 0.562 0.476
0.599 0.438 0.524
0.446 0.223 0.538
0.554 0.777 0.462
0.432 0.898 0.014
0.568 0.102 0.986
0.784 0.949 0.994
0.216 0.051 0.006
0.932 0.601 0.006
0.068 0.399 0.994
0.280 0.557 0.969
0.720 0.443 0.031
```

Output
DFT total energy (eV for the cell shown): -1434.6
Size of the total moment (μB/f.u.): 0.00


2.
This record from the Materials Project describes an optimized crystal structure of Si4Te2H44PdC16Cl2. The functional is GGA-PBE.

POSCAR file:
```
Si4Te2H44PdC16Cl2
1.0
4.701 3.877 -3.083
-0.239 -11.145 -6.818
-14.994 9.328 -11.132
Si Te H Pd C Cl
8 4 88 2 32 4
Direct
0.390 0.325 0.141
0.065 0.675 0.359
0.610 0.675 0.859
0.935 0.325 0.641
0.391 0.152 0.888
0.239 0.848 0.612
0.609 0.848 0.112
0.761 0.152 0.388
0.699 0.325 0.006
0.373 0.675 0.494
0.301 0.675 0.994
0.627 0.325 0.506
0.319 0.341 0.024
0.979 0.659 0.476
0.681 0.659 0.976
0.021 0.341 0.524
0.493 0.457 0.060
0.036 0.543 0.440
0.507 0.543 0.940
0.964 0.457 0.560
0.682 0.313 0.879
0.369 0.687 0.621
0.318 0.687 0.121
0.631 0.313 0.379
0.462 0.350 0.909
0.112 0.650 0.591
0.538 0.650 0.091
0.888 0.350 0.409
0.586 0.290 0.233
0.296 0.710 0.267
0.414 0.710 0.767
0.704 0.290 0.733
0.666 0.236 0.159
0.430 0.764 0.341
0.334 0.764 0.841
0.570 0.236 0.659
0.748 0.376 0.183
0.372 0.624 0.317
0.252 0.624 0.817
0.628 0.376 0.683
0.430 0.502 0.202
0.927 0.498 0.298
0.570 0.498 0.798
0.073 0.502 0.702
0.189 0.460 0.162
0.730 0.540 0.338
0.811 0.540 0.838
0.270 0.460 0.662
0.232 0.404 0.233
0.828 0.596 0.267
0.768 0.596 0.767
0.172 0.404 0.733
0.142 0.176 0.185
0.965 0.824 0.315
0.858 0.824 0.815
0.035 0.176 0.685
0.045 0.206 0.112
0.838 0.794 0.388
0.955 0.794 0.888
0.162 0.206 0.612
0.228 0.131 0.110
0.097 0.869 0.390
0.772 0.869 0.890
0.903 0.131 0.610
0.648 0.080 0.828
0.568 0.920 0.672
0.352 0.920 0.172
0.432 0.080 0.328
0.665 0.064 0.911
0.601 0.936 0.589
0.335 0.936 0.089
0.399 0.064 0.411
0.467 0.977 0.862
0.490 0.023 0.638
0.533 0.023 0.138
0.510 0.977 0.362
0.104 0.027 0.936
0.077 0.973 0.564
0.896 0.973 0.064
0.923 0.027 0.436
0.288 0.090 0.996
0.198 0.910 0.504
0.712 0.910 0.004
0.802 0.090 0.496
0.120 0.160 0.967
0.960 0.840 0.533
0.880 0.840 0.033
0.040 0.160 0.467
0.148 0.075 0.798
0.073 0.925 0.702
0.852 0.925 0.202
0.927 0.075 0.298
0.138 0.207 0.823
0.931 0.793 0.677
0.862 0.793 0.177
0.069 0.207 0.323
0.338 0.185 0.774
0.153 0.815 0.726
0.662 0.815 0.226
0.847 0.185 0.274
0.000 0.500 0.000
0.500 0.500 0.500
0.452 0.370 0.057
0.082 0.630 0.443
0.548 0.630 0.943
0.918 0.370 0.557
0.553 0.293 0.912
0.260 0.707 0.588
0.447 0.707 0.088
0.740 0.293 0.412
0.619 0.305 0.182
0.315 0.695 0.318
0.381 0.695 0.818
0.685 0.305 0.682
0.301 0.433 0.189
0.869 0.567 0.311
0.699 0.567 0.811
0.131 0.433 0.689
0.182 0.198 0.136
0.984 0.802 0.364
0.818 0.802 0.864
0.016 0.198 0.636
0.559 0.060 0.871
0.499 0.940 0.629
0.441 0.940 0.129
0.501 0.060 0.371
0.210 0.103 0.953
0.107 0.897 0.547
0.790 0.897 0.047
0.893 0.103 0.453
0.241 0.156 0.814
0.085 0.844 0.686
0.759 0.844 0.186
0.915 0.156 0.314
0.903 0.583 0.095
0.320 0.417 0.405
0.097 0.417 0.905
0.680 0.583 0.595
```

Output
DFT total energy (eV for the cell shown): -695.8
Size of the total moment (μB/f.u.): 0.00